This record from the Materials Project database describes an optimized crystal structure of K3InC12O12F18. The functional is PBE.

total DFT energy (no corrections) = -281.609 eV for the cell shown
space group = P-3

Unit cell a=10.2068 b=10.2068 c=7.5112 alpha=90.00 beta=90.00 gamma=120.00
Atoms (fractional coordinates):
1 C 0.3494 0.4020 0.6888
2 C 0.5980 0.9474 0.6888
3 F 0.5329 0.6273 0.3127
4 C 0.0526 0.6506 0.6888
5 O 0.8805 0.2632 0.0096
6 F 0.4118 0.5542 0.7048
7 C 0.2401 0.3150 0.8471
8 C 0.6850 0.9250 0.8471
9 C 0.9474 0.3494 0.3112
10 C 0.6506 0.5980 0.3112
11 F 0.3727 0.9056 0.3127
12 F 0.4671 0.3727 0.6873
13 K 0.0000 0.0000 0.5000
14 In 0.0000 0.0000 0.0000
15 K 0.3333 0.6667 0.0791
16 F 0.7191 0.6390 0.4731
17 C 0.9250 0.2401 0.1529
18 O 0.8597 0.8212 0.1936
19 O 0.3827 0.1195 0.0096
20 F 0.5542 0.1424 0.2952
21 O 0.6173 0.8805 0.9904
22 F 0.6390 0.9199 0.5269
23 F 0.9199 0.2809 0.4731
24 C 0.4020 0.0526 0.3112
25 O 0.7368 0.6173 0.0096
26 F 0.6273 0.0944 0.6873
27 O 0.0386 0.8597 0.8064
28 C 0.3150 0.0750 0.1529
29 C 0.0750 0.7599 0.8471
30 O 0.8212 0.9614 0.8064
31 F 0.9056 0.5329 0.6873
32 F 0.3610 0.0801 0.4731
33 K 0.6667 0.3333 0.9209
34 F 0.0944 0.4671 0.3127
35 O 0.1788 0.0386 0.1936
36 F 0.4458 0.8576 0.7048
37 C 0.7599 0.6850 0.1529
38 F 0.2809 0.3610 0.5269
39 F 0.8576 0.4118 0.2952
40 O 0.1195 0.7368 0.9904
41 O 0.2632 0.3827 0.9904
42 F 0.0801 0.7191 0.5269
43 O 0.1403 0.1788 0.8064
44 O 0.9614 0.1403 0.1936
45 F 0.5882 0.4458 0.2952
46 F 0.1424 0.5882 0.7048